DFT (PBE) results for an optimized crystal structure of PuI2.

## Properties
energy of formation = -1.27 eV/atom
MP2020-corrected energy = -0.2589 Ha/atom
space-group type = P4_2/mnm, No. 136
calculated density = 6.0 g/cm3

Cell: 7.7922 7.7922 4.5750 Å, 90.00 90.00 90.00°
Last column: nearest neighbours and their distance in Å.
Positions (direct):
Pu 0.0000 0.0000 0.0000  6 I 3.21-3.25
Pu 0.5000 0.5000 0.5000  6 I 3.21-3.25
I 0.2048 0.2048 0.5000  3 Pu 3.21-3.25
I 0.2952 0.7048 0.0000  3 Pu 3.21-3.25
I 0.7048 0.2952 0.0000  3 Pu 3.21-3.25
I 0.7952 0.7952 0.5000  3 Pu 3.21-3.25